Record 1
Computed, not measured: crystalline U3As4 at its relaxed geometry at the r2SCAN level of DFT.

Cell: 7.4501 7.4501 7.4501 Å, 109.51 109.51 109.51°
With the nearest neighbours (Å) after each atom.
Fractional coordinates of all 14 atoms:
U  0.0414  0.1667  0.7920  8 As 2.93-3.02
U  0.1667  0.7920  0.0414  8 As 2.93-3.02
U  0.2920  0.6667  0.5414  8 As 2.93-3.02
U  0.5414  0.2920  0.6667  8 As 2.93-3.02
U  0.6667  0.5414  0.2920  8 As 2.93-3.02
U  0.7920  0.0414  0.1667  8 As 2.93-3.02
As  0.0754  0.9165  0.4167  6 U 2.94-3.02, 3 As 3.23-3.24
As  0.2585  0.2585  0.2585  6 U 2.93-3.01, 3 As 3.24
As  0.4167  0.0754  0.9165  6 U 2.94-3.02, 3 As 3.23-3.24
As  0.4165  0.5754  0.9167  6 U 2.94-3.02, 3 As 3.23-3.24
As  0.5754  0.9167  0.4165  6 U 2.94-3.02, 3 As 3.23-3.24
As  0.7585  0.7585  0.7585  6 U 2.93-3.01, 3 As 3.24
As  0.9165  0.4167  0.0754  6 U 2.94-3.02, 3 As 3.23-3.24
As  0.9167  0.4165  0.5754  6 U 2.94-3.02, 3 As 3.23-3.24

Properties
- raw total energy (eV/atom) = -43.76
- formation energy (eV/atom) = -1.093
- spin magnetization (μB per formula unit) = 6.000

Record 2
Computed, not measured: crystalline SiO2 at its relaxed geometry at the r2SCAN level of DFT.

Cell: 9.2781 9.2781 9.2781 Å, 94.23 94.23 94.23°
With the nearest neighbours (Å) after each atom.
Fractional coordinates of all 36 atoms:
Si  0.1045  0.3329  0.8755  4 O 1.61-1.62
Si  0.1045  0.8755  0.3329  4 O 1.61-1.62
Si  0.1245  0.6671  0.8955  4 O 1.61-1.62
Si  0.1245  0.8955  0.6671  4 O 1.61-1.62
Si  0.3329  0.1045  0.8755  4 O 1.61-1.62
Si  0.3329  0.8755  0.1045  4 O 1.61-1.62
Si  0.6671  0.1245  0.8955  4 O 1.61-1.62
Si  0.6671  0.8955  0.1245  4 O 1.61-1.62
Si  0.8755  0.1045  0.3329  4 O 1.61-1.62
Si  0.8755  0.3329  0.1045  4 O 1.61-1.62
Si  0.8955  0.1245  0.6671  4 O 1.61-1.62
Si  0.8955  0.6671  0.1245  4 O 1.61-1.62
O  0.0000  0.2626  0.7374  2 Si 1.61
O  0.0000  0.7374  0.2626  2 Si 1.61
O  0.0220  0.0220  0.3193  2 Si 1.62
O  0.0220  0.3193  0.0220  2 Si 1.62
O  0.1098  0.7496  0.7496  2 Si 1.61
O  0.1474  0.5000  0.8526  2 Si 1.61
O  0.1474  0.8526  0.5000  2 Si 1.61
O  0.2504  0.2504  0.8902  2 Si 1.61
O  0.2504  0.8902  0.2504  2 Si 1.61
O  0.2626  0.0000  0.7374  2 Si 1.61
O  0.2626  0.7374  0.0000  2 Si 1.61
O  0.3193  0.0220  0.0220  2 Si 1.62
O  0.5000  0.1474  0.8526  2 Si 1.61
O  0.5000  0.8526  0.1474  2 Si 1.61
O  0.6807  0.9780  0.9780  2 Si 1.62
O  0.7374  0.0000  0.2626  2 Si 1.61
O  0.7374  0.2626  0.0000  2 Si 1.61
O  0.7496  0.1098  0.7496  2 Si 1.61
O  0.7496  0.7496  0.1098  2 Si 1.61
O  0.8526  0.1474  0.5000  2 Si 1.61
O  0.8526  0.5000  0.1474  2 Si 1.61
O  0.8902  0.2504  0.2504  2 Si 1.61
O  0.9780  0.6807  0.9780  2 Si 1.62
O  0.9780  0.9780  0.6807  2 Si 1.62

Properties
- raw total energy (eV/atom) = -9.92
- formation energy (eV/atom) = -3.017
- spin magnetization (μB per formula unit) = 0.000

Record 3
Computed, not measured: crystalline ThSi2Os2 at its relaxed geometry at the r2SCAN level of DFT.

Cell: 5.7178 5.7178 5.7178 Å, 136.61 136.61 63.04°
With the nearest neighbours (Å) after each atom.
Fractional coordinates of all 5 atoms:
Th  0.0000  0.0000  0.0000  8 Os 3.23, 10 Si 3.25-3.59
Si  0.3680  0.3680  0.0000  4 Os 2.41, 1 Si 2.57
Si  0.6320  0.6320  0.0000  4 Os 2.41, 1 Si 2.57
Os  0.2500  0.7500  0.5000  4 Si 2.41
Os  0.7500  0.2500  0.5000  4 Si 2.41

Properties
- raw total energy (eV/atom) = -40.25
- formation energy (eV/atom) = -0.851
- spin magnetization (μB per formula unit) = 0.000

Record 4
Computed, not measured: crystalline SrMg2In2 at its relaxed geometry at the r2SCAN level of DFT.

Cell: 7.1909 7.1909 7.1909 Å, 141.92 141.92 54.95°
With the nearest neighbours (Å) after each atom.
Fractional coordinates of all 5 atoms:
Sr  0.0000  0.0000  0.0000  8 In 3.61, 8 Mg 3.96
Mg  0.2500  0.7500  0.5000  4 In 2.94
Mg  0.7500  0.2500  0.5000  4 In 2.94
In  0.3893  0.3893  0.0000  1 In 2.83, 4 Mg 2.94
In  0.6107  0.6107  0.0000  1 In 2.83, 4 Mg 2.94

Properties
- raw total energy (eV/atom) = -14.10
- formation energy (eV/atom) = -0.372
- spin magnetization (μB per formula unit) = 0.000

Record 5
Computed, not measured: crystalline Eu3RuO7 at its relaxed geometry at the r2SCAN level of DFT.

Cell: 6.4948 6.4948 7.4905 Å, 90.03 90.03 112.26°
With the nearest neighbours (Å) after each atom.
Fractional coordinates of all 22 atoms:
Eu  0.0000  0.0000  0.0000  4 O 2.35-2.36
Eu  0.0002  0.9998  0.5000  4 O 2.35-2.36
Eu  0.0780  0.5304  0.7501  6 O 2.24-2.43
Eu  0.4696  0.9220  0.2499  6 O 2.24-2.43
Eu  0.5299  0.0801  0.7503  6 O 2.23-2.42
Eu  0.9199  0.4701  0.2497  6 O 2.23-2.42
Ru  0.4991  0.5009  0.0000  6 O 1.94-1.96
Ru  0.4991  0.5009  0.5000  6 O 1.94-1.97
O  0.0996  0.8385  0.2497  4 Eu 2.23-2.35
O  0.1615  0.9004  0.7503  4 Eu 2.23-2.35
O  0.1863  0.4386  0.0405  1 Ru 1.94
O  0.1862  0.4392  0.4593  1 Ru 1.94
O  0.4168  0.4182  0.7501  2 Ru 1.96-1.97
O  0.4368  0.1859  0.4610  1 Ru 1.95
O  0.4379  0.1868  0.0400  1 Ru 1.95
O  0.5608  0.8138  0.5407  1 Ru 1.94
O  0.5614  0.8137  0.9595  1 Ru 1.94
O  0.5818  0.5832  0.2499  2 Ru 1.96-1.97
O  0.8132  0.5621  0.9600  1 Ru 1.95
O  0.8141  0.5632  0.5390  1 Ru 1.95
O  0.8400  0.1020  0.2501  4 Eu 2.24-2.36
O  0.8980  0.1600  0.7499  4 Eu 2.24-2.36

Properties
- raw total energy (eV/atom) = -19.14
- formation energy (eV/atom) = -2.523
- spin magnetization (μB per formula unit) = 2.956

Record 6
Computed, not measured: crystalline Cr5S8 at its relaxed geometry at the r2SCAN level of DFT.

Cell: 6.8893 6.8893 11.1559 Å, 91.17 91.17 59.80°
With the nearest neighbours (Å) after each atom.
Fractional coordinates of all 26 atoms:
Cr  0.0000  0.0000  0.0000  6 S 2.41-2.46
Cr  0.0033  0.0033  0.7310  6 S 2.31-2.43
Cr  0.0218  0.4773  0.7499  6 S 2.33-2.46
Cr  0.4773  0.0218  0.7499  6 S 2.33-2.46
Cr  0.4956  0.4956  0.7686  6 S 2.31-2.43
Cr  0.5000  0.5000  0.5000  6 S 2.41-2.45
Cr  0.5044  0.5044  0.2314  6 S 2.31-2.43
Cr  0.5227  0.9782  0.2501  6 S 2.33-2.46
Cr  0.9782  0.5227  0.2501  6 S 2.33-2.46
Cr  0.9967  0.9967  0.2690  6 S 2.31-2.43
S  0.1525  0.6790  0.1299  4 Cr 2.37-2.43
S  0.1599  0.1599  0.1427  4 Cr 2.43-2.46
S  0.1652  0.1652  0.6224  3 Cr 2.31-2.33
S  0.1782  0.6514  0.6295  4 Cr 2.37-2.43
S  0.3210  0.8475  0.8701  4 Cr 2.37-2.43
S  0.3336  0.3336  0.8780  3 Cr 2.31-2.33
S  0.3409  0.3409  0.3571  4 Cr 2.43-2.46
S  0.3486  0.8218  0.3705  4 Cr 2.37-2.43
S  0.6514  0.1782  0.6295  4 Cr 2.37-2.43
S  0.6591  0.6591  0.6429  4 Cr 2.43-2.46
S  0.6664  0.6664  0.1220  3 Cr 2.31-2.33
S  0.6790  0.1525  0.1299  4 Cr 2.37-2.43
S  0.8218  0.3486  0.3705  4 Cr 2.37-2.43
S  0.8348  0.8348  0.3776  3 Cr 2.31-2.33
S  0.8401  0.8401  0.8573  4 Cr 2.43-2.46
S  0.8475  0.3210  0.8701  4 Cr 2.37-2.43

Properties
- raw total energy (eV/atom) = -11.69
- formation energy (eV/atom) = -0.951
- spin magnetization (μB per formula unit) = 14.000